Entry 1:
First-principles (PBE) data for a relaxed TiNbBi3O9 crystal, as listed in the Materials Project.

a b c (Å): 5.4377 5.5074 13.0223
angles (deg): 90.00 101.77 90.00
Space group P2_1 (No. 4)
Unique sites:
Ti 0.1630 0.0000 0.3228 x2
Nb 0.3343 0.0034 0.6759 x2
Bi 0.0712 0.4562 0.1004 x2
Bi 0.2448 0.4501 0.5005 x2
Bi 0.4772 0.4607 0.8991 x2
O 0.0297 0.8207 0.6725 x2
O 0.1379 0.3268 0.6726 x2
O 0.1563 0.0152 0.1846 x2
O 0.1725 0.0461 0.5017 x2
O 0.2415 0.7261 0.9981 x2
O 0.2560 0.2257 0.9981 x2
O 0.3976 0.7416 0.3682 x2
O 0.4689 0.2388 0.3682 x2
O 0.4705 0.0133 0.8203 x2

## Properties
The calculation puts the total magnetic moment at 0.000 μB per formula unit.


Entry 2:
First-principles (PBE) data for a relaxed Y2Al5Ni5 crystal, as listed in the Materials Project.

a b c (Å): 8.8946 4.0608 15.4702
angles (deg): 90.00 90.05 90.00
Space group Pm (No. 6)
Unique sites:
Y 0.0000 0.0000 0.0000 x1
Y 0.0021 0.0000 0.6668 x1
Y 0.4889 0.5000 0.8351 x1
Y 0.4955 0.0000 0.4991 x1
Y 0.4987 0.0000 0.1718 x1
Y 0.9932 0.5000 0.3392 x1
Al 0.0044 0.5000 0.8353 x1
Al 0.1443 0.0000 0.1879 x1
Al 0.2444 0.5000 0.5801 x1
Al 0.2488 0.5000 0.0874 x1
Al 0.2796 0.0000 0.3415 x1
Al 0.3451 0.0000 0.6943 x1
Al 0.3458 0.0000 0.9763 x1
Al 0.5052 0.5000 0.3342 x1
Al 0.6432 0.0000 0.6875 x1
Al 0.6427 0.0000 0.9833 x1
Al 0.7458 0.5000 0.5868 x1
Al 0.7490 0.5000 0.0844 x1
Al 0.7931 0.0000 0.8348 x1
Al 0.8460 0.0000 0.1957 x1
Al 0.8562 0.0000 0.4755 x1
Ni 0.1474 0.0000 0.4879 x1
Ni 0.1923 0.0000 0.8355 x1
Ni 0.2227 0.5000 0.7409 x1
Ni 0.2243 0.5000 0.9287 x1
Ni 0.2706 0.5000 0.2468 x1
Ni 0.2746 0.5000 0.4248 x1
Ni 0.4922 0.5000 0.6523 x1
Ni 0.4961 0.5000 0.0181 x1
Ni 0.6922 0.0000 0.3364 x1
Ni 0.7227 0.5000 0.4300 x1
Ni 0.7257 0.5000 0.2427 x1
Ni 0.7709 0.5000 0.7453 x1
Ni 0.7708 0.5000 0.9252 x1
Ni 0.9922 0.5000 0.5191 x1
Ni 0.9961 0.5000 0.1548 x1


no.,energy (eV per atom)
1,-7.290
2,-5.681